[1]
The following is a DFT calculation (GGA-PBE) of a relaxed TiHg6As4Br7 crystal.

a b c (Å): 12.716 12.716 12.716
angles (deg): 90.00 90.00 90.00
Space group Pa-3 (No. 205)
Inequivalent atoms, fractional coordinates:
Ti  0.000  0.000  0.000 x4
Hg  0.042  0.193  0.697 x24
As  0.156  0.656  0.844 x8
As  0.229  0.229  0.229 x8
Br  0.000  0.000  0.500 x4
Br  0.039  0.545  0.308 x24

Output
* total moment: 0.060 μB per formula unit
* crystal system: cubic

[2]
The following is a DFT calculation (GGA-PBE) of a relaxed K2InAsBr6 crystal.

a b c (Å): 11.356 11.356 11.356
angles (deg): 90.00 90.00 90.00
Space group Fm-3m (No. 225)
Inequivalent atoms, fractional coordinates:
K  0.250  0.250  0.250 x8
In  0.000  0.000  0.000 x4
As  0.000  0.000  0.500 x4
Br  0.000  0.000  0.263 x24

Output
* total moment: 0.001 μB per formula unit
* crystal system: cubic

[3]
The following is a DFT calculation (GGA-PBE) of a relaxed Rb2InAsBr6 crystal.

a b c (Å): 11.419 11.419 11.419
angles (deg): 90.00 90.00 90.00
Space group Fm-3m (No. 225)
Inequivalent atoms, fractional coordinates:
Rb  0.250  0.250  0.250 x8
In  0.000  0.000  0.000 x4
As  0.000  0.000  0.500 x4
Br  0.000  0.000  0.264 x24

Output
* total moment: 0.001 μB per formula unit
* crystal system: cubic

[4]
The following is a DFT calculation (GGA-PBE) of a relaxed K2NaAsBr6 crystal.

a b c (Å): 11.101 11.101 11.101
angles (deg): 90.00 90.00 90.00
Space group Fm-3m (No. 225)
Inequivalent atoms, fractional coordinates:
K  0.250  0.250  0.250 x8
Na  0.000  0.000  0.000 x4
As  0.000  0.000  0.500 x4
Br  0.000  0.000  0.260 x24

Output
* total moment: 0.001 μB per formula unit
* crystal system: cubic

[5]
The following is a DFT calculation (GGA-PBE) of a relaxed KAs4BrO6 crystal.

a b c (Å): 5.3471 5.3471 9.2311
angles (deg): 90.00 90.00 120.00
Space group P6/mmm (No. 191)
Inequivalent atoms, fractional coordinates:
K  0.0000  0.0000  0.0000 x1
As  0.3333  0.6667  0.2922 x4
Br  0.0000  0.0000  0.5000 x1
O  0.0000  0.5000  0.1841 x6

Output
* total moment: 0.001 μB per formula unit
* crystal system: hexagonal

[6]
The following is a DFT calculation (GGA-PBE) of a relaxed K2TlAsBr6 crystal.

a b c (Å): 11.528 11.528 11.528
angles (deg): 90.00 90.00 90.00
Space group Fm-3m (No. 225)
Inequivalent atoms, fractional coordinates:
K  0.250  0.250  0.250 x8
Tl  0.000  0.000  0.000 x4
As  0.000  0.000  0.500 x4
Br  0.000  0.000  0.269 x24

Output
* total moment: 0.001 μB per formula unit
* crystal system: cubic

E_tot values (in eV per atom) by entry order: -2.683; -2.944; -2.959; -2.962; -5.581; -2.921.
Total energy after the MP2020 corrections values (in eV/f.u.) by entry order: -52.02; -32.65; -32.80; -32.82; -71.09; -32.41.
Calculated formation energy values (in eV/atom) by entry order: -0.678; -1.320; -1.360; -1.480; -1.668; -1.335.